40
Lattice="10.1301 0.0000 0.0000 0.0000 10.1301 0.0000 0.0000 0.0000 4.8537" Properties=species:S:1:pos:R:3 comment="meta-GGA r2SCAN Ce3Si6N11, relaxed" magmom_total_mub_per_cell=6.00 formation_energy_kj_per_mol_atoms=-147.6 pbc="T T T"
N 1.8075 9.3233 0.0198
N 7.4063 4.3077 2.2660
N 2.7238 5.8224 2.2660
N 8.3226 0.8068 0.0198
N 9.3728 2.3412 2.2660
N 1.5546 6.6197 4.6117
N 4.2583 6.8725 0.0198
N 2.3412 0.7573 2.2660
N 3.2576 4.2583 0.0198
N 7.7889 9.3728 2.2660
N 6.8725 5.8718 0.0198
N 8.5755 3.5104 4.6117
N 0.7573 7.7889 2.2660
N 6.6197 8.5755 4.6117
N 5.8718 3.2576 0.0198
N 9.3233 8.3226 0.0198
N 5.8224 7.4063 2.2660
N 0.8068 1.8075 0.0198
N 0.0000 5.0651 2.8064
N 5.0651 0.0000 2.8064
N 3.5104 1.5546 4.6117
N 4.3077 2.7238 2.2660
Si 5.8620 7.1848 0.5556
Si 4.2681 2.9453 0.5556
Si 2.9453 5.8620 0.5556
Si 0.7969 8.0104 0.5556
Si 2.1197 0.7969 0.5556
Si 8.0104 9.3332 0.5556
Si 1.1891 6.2541 2.9277
Si 3.8760 1.1891 2.9277
Si 9.3332 2.1197 0.5556
Si 7.1848 4.2681 0.5556
Si 8.9411 3.8760 2.9277
Si 6.2541 8.9411 2.9277
Ce 6.8904 1.8253 3.1343
Ce 3.2397 8.3048 3.1343
Ce 5.0651 5.0651 3.1537
Ce 8.3048 6.8904 3.1343
Ce 0.0000 0.0000 3.1537
Ce 1.8253 3.2397 3.1343


36
Lattice="-5.9217 4.4579 0.3780 -6.8055 -9.1732 1.5690 1.4326 0.9200 11.5924" Properties=species:S:1:pos:R:3 comment="meta-GGA r2SCAN Ce4Te3N2, relaxed" magmom_total_mub_per_cell=16.00 formation_energy_kj_per_mol_atoms=-179.4 pbc="T T T"
Te -10.0617 -2.9245 12.3939
Te -3.2478 0.0719 9.2775
Te -5.9251 2.6831 9.4011
Te -8.0468 -3.8671 4.2619
Te -5.2427 -0.4033 5.6770
Te -10.5544 -3.2409 8.4068
Te -5.7354 -0.7198 1.6900
Te -5.3695 -6.4784 4.1383
Te -6.0519 -3.3919 7.8624
Te -1.2329 -0.8708 1.1456
Te -5.5592 -3.0755 11.8494
Te -0.7402 -0.5543 5.1326
Ce -10.8395 -5.2156 4.7141
Ce -8.0756 -6.5709 2.1134
Ce -3.9138 -4.9654 9.7595
Ce -4.8768 -3.3984 3.8330
Ce -2.7617 -2.4238 7.0488
Ce -8.1235 -4.4197 10.2365
Ce -7.5030 -6.2032 6.7468
Ce -2.1891 -2.0561 11.6822
Ce -3.2190 2.7757 11.4260
Ce -7.3808 1.1701 3.7799
Ce -8.5329 -1.3714 6.4906
Ce -0.4551 1.4204 8.8253
Ce -3.7916 2.4080 6.7926
Ce -6.4178 -0.3969 9.7064
Ce -3.1711 0.6245 3.3029
Ce -9.1055 -1.7391 1.8572
N -7.9672 0.1317 11.3756
N -2.9598 -3.6908 5.1389
N -2.9684 2.5175 4.6473
N -8.3349 -0.1045 8.4005
N -7.9585 -6.0766 11.8673
N -3.3361 2.2814 1.6722
N -3.3274 -3.9269 2.1638
N -8.3262 -6.3127 8.8921


4
Lattice="-5.5638 0.7530 2.7553 -6.2075 0.1277 -0.7521 -5.4783 -2.6323 1.4746" Properties=species:S:1:pos:R:3 comment="meta-GGA r2SCAN CeThN2, relaxed" magmom_total_mub_per_cell=0.00 formation_energy_kj_per_mol_atoms=-169.9 pbc="T T T"
N -12.9300 -1.3130 2.6069
N -4.3196 -0.4386 0.8709
Ce 0.0000 0.0000 0.0000
Th -8.6248 -0.8758 1.7389


4
Lattice="5.9379 -1.7436 0.0285 5.9379 1.7436 0.0285 5.4116 0.0000 3.0023" Properties=species:S:1:pos:R:3 comment="meta-GGA r2SCAN CeUN2, relaxed" magmom_total_mub_per_cell=1.24 formation_energy_kj_per_mol_atoms=-162.0 pbc="T T T"
Ce 0.0000 0.0000 0.0000
N 13.0991 0.0000 2.3181
N 4.1882 0.0000 0.7412
U 8.6436 0.0000 1.5296


40
Lattice="-0.4720 -5.0746 2.0326 4.0782 -1.6805 -3.2485 10.1958 3.4530 10.9881" Properties=species:S:1:pos:R:3 comment="meta-GGA r2SCAN Na5Ce3Ti6Nb2O24, relaxed" magmom_total_mub_per_cell=2.98 formation_energy_kj_per_mol_atoms=-302.6 pbc="T T T"
O 3.6390 -0.7714 2.6546
O 3.1661 -2.4467 -1.7043
O 2.9279 -5.0072 -0.6787
O 7.9468 -3.2266 4.7805
O 10.9099 1.6836 10.4717
O 3.4051 -3.2862 3.6620
O 5.0330 -4.2876 1.5998
O 10.3781 0.0098 6.1488
O 6.4412 -0.5267 7.5862
O 10.1429 -2.5195 7.1619
O 5.4733 -2.5511 5.9068
O 12.4606 -1.0503 7.6768
O 8.0630 1.4812 5.5701
O 10.6760 -0.8314 11.4791
O 11.2833 2.0582 7.7585
O 8.1753 -0.7700 3.7965
O 6.1319 0.3221 2.2280
O 8.6155 -1.5345 9.2164
O 7.3056 -2.7891 2.1388
O 2.5049 -5.3473 2.0430
O 5.7027 -0.0847 4.9189
O 5.2707 -1.7319 0.5761
O 1.3388 -2.2295 2.1504
O 8.8475 0.9607 8.2169
Ce 5.3245 -1.2347 -1.8462
Ce 5.5529 -2.0807 3.5004
Ce 10.7511 -0.3342 9.0676
Ti 2.2934 -1.6828 3.7370
Ti 2.0609 -0.8410 -1.6211
Ti -0.2068 -2.5369 1.0240
Ti 8.9009 -2.4957 3.2417
Ti 4.6016 0.0228 1.1255
Ti 9.7244 1.7607 6.6537
Na 3.1118 -2.9594 0.7400
Na 8.9808 3.0116 9.6039
Na 10.3636 0.5130 3.6872
Na 8.2412 -1.2386 6.2269
Na 3.8295 1.2777 4.0789
Nb 7.3505 0.0288 9.1843
Nb 7.1847 0.9190 3.9625


24
Lattice="-2.2563 -4.4045 3.3913 -0.0756 -0.4687 -5.9805 10.5428 -3.1582 1.1269" Properties=species:S:1:pos:R:3 comment="meta-GGA r2SCAN Na2CeO3, relaxed" magmom_total_mub_per_cell=0.00 formation_energy_kj_per_mol_atoms=-261.3 pbc="T T T"
Na 0.0000 0.0000 0.0000
Na 4.1055 -4.0157 -0.7311
Na 3.4190 -5.2378 2.3834
Na 6.5195 -5.3715 -2.6492
Na 9.0325 -6.1995 1.4768
Na -0.8216 -1.8318 -2.9390
Na 1.6915 -2.6599 1.1871
Na 4.7919 -2.7935 -3.8456
O 0.5975 -2.3076 -1.0033
O 6.8196 -7.1858 2.4146
O 1.3913 -0.8455 -3.8768
O 4.6374 -6.4415 -1.4528
O 1.9122 -4.9498 0.2869
O 6.2987 -3.0815 -1.7491
O 7.6134 -5.7237 -0.4589
O 5.4786 -4.5296 1.1390
O 8.4260 -4.3186 -3.8526
O -0.2151 -3.7127 2.3904
O 3.5735 -1.5898 -0.0094
O 2.7323 -3.5017 -2.6012
Ce 5.7934 -6.6819 0.4711
Ce 0.8864 -4.4451 -1.6585
Ce 2.4175 -1.3494 -1.9333
Ce 7.3245 -3.5862 0.1963